10
Lattice="4.170 0.000 0.000 0.000 4.170 0.000 0.000 0.000 9.895" Properties=species:S:1:pos:R:3 comment="SmSi2Ir2 PBE optimized geometry" e_form_mev_per_atom=-1059.1 crystal_system=tetragonal spacegroup="P4/nmm, No. 129" pbc="T T T"
Sm 0.000 2.085 2.530
Sm 2.085 0.000 7.365
Si 0.000 0.000 4.947
Si 2.085 2.085 4.947
Si 0.000 2.085 8.606
Si 2.085 0.000 1.289
Ir 0.000 0.000 0.000
Ir 2.085 2.085 0.000
Ir 0.000 2.085 6.207
Ir 2.085 0.000 3.688